1.
Mg14MnBi: relaxed, PBE.

Computed properties:
ΔE_f: 0.04 eV per atom
Symmetry: P-6m2 (187)
Relative energy among the computed polymorphs: 0.002 eV per atom

a = 6.3283 Å, b = 6.3283 Å, c = 10.4311 Å
α = 90.00°, β = 90.00°, γ = 120.00°
Last column: nearest neighbours and their distance in Å.
Positions (direct):
1 Mg 0.1642 0.8321 0.1250  10 Mg 3.09-3.19, 2 Mn 3.16
2 Mg 0.1667 0.8334 0.6250  10 Mg 3.16-3.30, 2 Bi 3.16
3 Mg 0.6679 0.3358 0.1250  10 Mg 3.09-3.19, 2 Mn 3.16
4 Mg 0.6666 0.3333 0.6250  10 Mg 3.16-3.30, 2 Bi 3.16
5 Mg 0.6679 0.8321 0.1250  10 Mg 3.09-3.19, 2 Mn 3.16
6 Mg 0.6666 0.8334 0.6250  10 Mg 3.16-3.30, 2 Bi 3.16
7 Mg 0.3319 0.1681 0.3624  1 Mn 3.07, 10 Mg 3.09-3.30, 1 Bi 3.28
8 Mg 0.3319 0.1681 0.8876  1 Mn 3.07, 10 Mg 3.09-3.30, 1 Bi 3.28
9 Mg 0.3319 0.6637 0.3624  1 Mn 3.07, 10 Mg 3.09-3.30, 1 Bi 3.28
10 Mg 0.3319 0.6637 0.8876  1 Mn 3.07, 10 Mg 3.09-3.30, 1 Bi 3.28
11 Mg 0.8363 0.1681 0.3624  1 Mn 3.07, 10 Mg 3.09-3.30, 1 Bi 3.28
12 Mg 0.8363 0.1681 0.8876  1 Mn 3.07, 10 Mg 3.09-3.30, 1 Bi 3.28
13 Mg 0.8333 0.6667 0.3732  12 Mg 3.16-3.20
14 Mg 0.8333 0.6667 0.8768  12 Mg 3.16-3.20
15 Mn 0.1667 0.3333 0.1250  12 Mg 3.07-3.16
16 Bi 0.1667 0.3333 0.6250  12 Mg 3.16-3.28

2.
Mn4ZnS8: relaxed, PBE.

Computed properties:
ΔE_f: -0.85 eV per atom
Symmetry: R-3m (166)
Relative energy among the computed polymorphs: 0.008 eV per atom

a = 7.0216 Å, b = 7.0216 Å, c = 7.0216 Å
α = 58.93°, β = 58.93°, γ = 58.93°
Last column: nearest neighbours and their distance in Å.
Positions (direct):
1 Mn 0.5000 0.5000 0.5000  6 S 2.45
2 Mn 0.0000 0.5000 0.5000  6 S 2.36
3 Mn 0.5000 0.0000 0.5000  6 S 2.36
4 Mn 0.5000 0.5000 0.0000  6 S 2.36
5 Zn 0.0000 0.0000 0.0000  6 S 2.49
6 S 0.2522 0.7263 0.2522  3 Mn 2.36-2.45, 1 Zn 2.49
7 S 0.7263 0.2522 0.2522  3 Mn 2.36-2.45, 1 Zn 2.49
8 S 0.2522 0.2522 0.7263  3 Mn 2.36-2.45, 1 Zn 2.49
9 S 0.2600 0.2600 0.2600  3 Mn 2.36
10 S 0.7400 0.7400 0.7400  3 Mn 2.36
11 S 0.2737 0.7478 0.7478  3 Mn 2.36-2.45, 1 Zn 2.49
12 S 0.7478 0.7478 0.2737  3 Mn 2.36-2.45, 1 Zn 2.49
13 S 0.7478 0.2737 0.7478  3 Mn 2.36-2.45, 1 Zn 2.49

3.
BaO2: relaxed, PBE.

Computed properties:
ΔE_f: -2.17 eV per atom
Symmetry: I4/mmm (139)

a = 4.4325 Å, b = 4.4325 Å, c = 4.4325 Å
α = 128.29°, β = 128.29°, γ = 76.15°
Last column: nearest neighbours and their distance in Å.
Positions (direct):
1 Ba 0.0000 0.0000 0.0000  10 O 2.74-2.83
2 O 0.3923 0.3923 0.0000  1 O 1.50
3 O 0.6077 0.6077 0.0000  1 O 1.50